Entry from the Materials Project database: a relaxed SrIn2 crystal (r²SCAN).

Results
Spin magnetization (μB/f.u.): 0.00
Energy of formation (meV/atom): -607

Unit cell a=5.044 b=5.044 c=8.115 alpha=90.00 beta=90.00 gamma=120.00
Positions (direct):
Sr1 0.000 0.000 0.250
Sr2 0.000 0.000 0.750
In1 0.333 0.667 0.047
In2 0.333 0.667 0.453
In3 0.667 0.333 0.547
In4 0.667 0.333 0.953


Entry from the Materials Project database: a relaxed Lu2Ga8Co crystal (r²SCAN).

Results
Spin magnetization (μB/f.u.): 0.00
Energy of formation (meV/atom): -469

Unit cell a=4.146 b=4.146 c=10.872 alpha=90.00 beta=90.00 gamma=90.00
Positions (direct):
Lu1 0.000 0.000 0.194
Lu2 0.000 0.000 0.806
Ga1 0.000 0.500 0.000
Ga2 0.000 0.500 0.383
Ga3 0.000 0.500 0.617
Ga4 0.500 0.000 0.000
Ga5 0.500 0.000 0.383
Ga6 0.500 0.000 0.617
Ga7 0.500 0.500 0.195
Ga8 0.500 0.500 0.805
Co1 0.000 0.000 0.500


Entry from the Materials Project database: a relaxed V3Re crystal (r²SCAN).

Results
Spin magnetization (μB/f.u.): 0.00
Energy of formation (meV/atom): -309

Unit cell a=4.245 b=4.245 c=4.245 alpha=60.00 beta=60.00 gamma=60.00
Positions (direct):
V1 0.000 0.000 0.000
V2 0.250 0.250 0.250
V3 0.750 0.750 0.750
Re1 0.500 0.500 0.500


Entry from the Materials Project database: a relaxed LiDyIn2 crystal (r²SCAN).

Results
Spin magnetization (μB/f.u.): 0.00
Energy of formation (meV/atom): -487

Unit cell a=5.089 b=5.089 c=5.089 alpha=60.00 beta=60.00 gamma=60.00
Positions (direct):
Li1 0.000 0.000 0.000
Dy1 0.500 0.500 0.500
In1 0.250 0.250 0.250
In2 0.750 0.750 0.750


Entry from the Materials Project database: a relaxed Cd5Cu2 crystal (r²SCAN).

Results
Spin magnetization (μB/f.u.): 0.00
Energy of formation (meV/atom): 24

Unit cell a=8.172 b=8.172 c=8.853 alpha=90.00 beta=90.00 gamma=120.00
Positions (direct):
Cd1 0.000 0.000 0.000
Cd2 0.000 0.000 0.500
Cd3 0.075 0.537 0.250
Cd4 0.204 0.408 0.541
Cd5 0.204 0.408 0.959
Cd6 0.204 0.796 0.541
Cd7 0.204 0.796 0.959
Cd8 0.408 0.204 0.041
Cd9 0.408 0.204 0.459
Cd10 0.463 0.537 0.250
Cd11 0.463 0.925 0.250
Cd12 0.537 0.075 0.750
Cd13 0.537 0.463 0.750
Cd14 0.592 0.796 0.541
Cd15 0.592 0.796 0.959
Cd16 0.796 0.204 0.041
Cd17 0.796 0.204 0.459
Cd18 0.796 0.592 0.041
Cd19 0.796 0.592 0.459
Cd20 0.925 0.463 0.750
Cu1 0.110 0.220 0.250
Cu2 0.110 0.890 0.250
Cu3 0.220 0.110 0.750
Cu4 0.333 0.667 0.750
Cu5 0.667 0.333 0.250
Cu6 0.780 0.890 0.250
Cu7 0.890 0.110 0.750
Cu8 0.890 0.780 0.750


Entry from the Materials Project database: a relaxed Cs2RbFeF6 crystal (r²SCAN).

Results
Spin magnetization (μB/f.u.): 5.00
Energy of formation (meV/atom): -2911

Unit cell a=6.518 b=6.518 c=6.518 alpha=60.00 beta=60.00 gamma=60.00
Positions (direct):
Cs1 0.250 0.250 0.250
Cs2 0.750 0.750 0.750
Rb1 0.000 0.000 0.000
Fe1 0.500 0.500 0.500
F1 0.289 0.289 0.711
F2 0.289 0.711 0.289
F3 0.289 0.711 0.711
F4 0.711 0.289 0.289
F5 0.711 0.289 0.711
F6 0.711 0.711 0.289